Version w
Below is KB5O8 after structural relaxation, with properties calculated at the GGA-PBE level.

Output
* crystal system: orthorhombic

a b c (Å): 8.6049 8.6388 21.7211
angles (deg): 90.00 90.00 90.00
Space group Pbca (No. 61)
Inequivalent atoms, fractional coordinates:
K (0.1044, 0.1014, 0.1238) x8
B (0.0021, 0.1973, 0.3760) x8
B (0.0331, 0.0025, 0.7016) x8
B (0.0326, 0.2453, 0.7668) x8
B (0.0399, 0.7189, 0.5163) x8
B (0.2144, 0.1993, 0.4531) x8
O (0.0086, 0.1895, 0.8242) x8
O (0.0304, 0.0955, 0.2541) x8
O (0.0599, 0.1565, 0.7149) x8
O (0.0719, 0.5510, 0.1448) x8
O (0.0948, 0.7356, 0.5744) x8
O (0.1167, 0.2394, 0.9983) x8
O (0.1298, 0.6753, 0.4663) x8
O (0.1619, 0.1637, 0.3965) x8

=====

Version x
Below is KB5O8 after structural relaxation, with properties calculated at the GGA-PBE level.

Output
* crystal system: orthorhombic

a b c (Å): 8.2761 12.3903 17.1832
angles (deg): 90.00 90.00 90.00
Space group Pbca (No. 61)
Inequivalent atoms, fractional coordinates:
K (0.0535, 0.0900, 0.1972) x8
B (0.0417, 0.0733, 0.4450) x8
B (0.0729, 0.2210, 0.9851) x8
B (0.1941, 0.2323, 0.7990) x8
B (0.2002, 0.6384, 0.5102) x8
B (0.2231, 0.5536, 0.0125) x8
O (0.0918, 0.7199, 0.5095) x8
O (0.1062, 0.1568, 0.7732) x8
O (0.1127, 0.5890, 0.0764) x8
O (0.1223, 0.5209, 0.9453) x8
O (0.1375, 0.1672, 0.4789) x8
O (0.1697, 0.1395, 0.9906) x8
O (0.1777, 0.5397, 0.5379) x8
O (0.2300, 0.6838, 0.3220) x8

=====

Going by the computed energies, the most stable comes first: version w, version x.